Below is Nd5Si3O13 after structural relaxation, with properties calculated at the PBE level.

Results
Calculated formation energy   -3593.9 meV/atom
Total DFT energy (no corrections)   -341.96 eV per cell
Total magnetization   0.00 μB/atom

Unit cell a=9.6946 b=9.6946 c=7.0904 alpha=90.00 beta=90.00 gamma=120.00
Closest atoms and distances in Å follow each position.
Atoms (fractional coordinates):
Si1 0.6299 0.6020 0.0903  4 O 1.64-1.65
Si2 0.6020 0.9721 0.5903  4 O 1.64-1.65
Si3 0.9721 0.3701 0.0903  4 O 1.64-1.65
Si4 0.3980 0.0279 0.0903  4 O 1.64-1.65
Si5 0.0279 0.6299 0.5903  4 O 1.64-1.65
Si6 0.3701 0.3980 0.5903  4 O 1.64-1.65
Nd1 0.7610 0.9915 0.0907  5 O 2.30-2.50
Nd2 0.0085 0.7695 0.0907  5 O 2.30-2.50
Nd3 0.9915 0.2305 0.5907  5 O 2.30-2.50
Nd4 0.7695 0.7610 0.5907  5 O 2.30-2.50
Nd5 0.3333 0.6667 0.3430  9 O 2.49-2.75
Nd6 0.2305 0.2390 0.0907  5 O 2.30-2.50
Nd7 0.3333 0.6667 0.8462  6 O 2.42-2.50
Nd8 0.6667 0.3333 0.3462  6 O 2.42-2.50
Nd9 0.6667 0.3333 0.8430  9 O 2.49-2.75
Nd10 0.2390 0.0085 0.5907  5 O 2.30-2.50
O1 0.2564 0.3556 0.4021  1 Si 1.65
O2 0.5180 0.6844 0.0879  1 Si 1.64
O3 0.7436 0.6444 0.9021  1 Si 1.65
O4 0.6444 0.9008 0.4021  1 Si 1.65
O5 0.2443 0.3265 0.7690  1 Si 1.65
O6 0.3556 0.0992 0.9021  1 Si 1.65
O7 0.0000 0.0000 0.0445  3 Nd 2.30
O8 0.6844 0.1664 0.5879  1 Si 1.64
O9 0.5937 0.1210 0.1039  1 Si 1.65
O10 0.9008 0.2564 0.9021  1 Si 1.65
O11 0.3265 0.0822 0.2690  1 Si 1.65
O12 0.6735 0.9178 0.7690  1 Si 1.65
O13 0.4063 0.8790 0.6039  1 Si 1.65
O14 0.8790 0.4727 0.1039  1 Si 1.65
O15 0.4820 0.3156 0.5879  1 Si 1.64
O16 0.7557 0.6735 0.2690  1 Si 1.65
O17 0.3156 0.8336 0.0879  1 Si 1.64
O18 0.4727 0.5937 0.6039  1 Si 1.65
O19 0.5273 0.4063 0.1039  1 Si 1.65
O20 0.9178 0.2443 0.2690  1 Si 1.65
O21 0.8336 0.5180 0.5879  1 Si 1.64
O22 0.0992 0.7436 0.4021  1 Si 1.65
O23 0.1664 0.4820 0.0879  1 Si 1.64
O24 0.0000 0.0000 0.5445  3 Nd 2.30
O25 0.0822 0.7557 0.7690  1 Si 1.65
O26 0.1210 0.5273 0.6039  1 Si 1.65